[1]
VASP calculation (PBE with a Hubbard U) on SrFe2P4O14 after structural relaxation.

Summary:
Its crystal system is triclinic. The value obtained for the calculated formation energy is -55.2 eV/f.u. Its space group is P-1, No. 2. The MP2020-corrected energy comes out at -7.85 eV/atom.

a b c (Å): 4.8699 7.2011 7.9791
angles (deg): 89.64 87.41 72.95
Closest atoms and distances in Å follow each position.
Atoms (fractional coordinates):
P: 0.8836 0.2293 0.7030  4 O 1.51-1.62
P: 0.1164 0.7707 0.2970  4 O 1.51-1.62
P: 0.5314 0.3800 0.2446  4 O 1.51-1.60
P: 0.4686 0.6200 0.7554  4 O 1.51-1.60
O: 0.3826 0.3504 0.0829  1 P 1.55
O: 0.0084 0.7603 0.1173  1 P 1.56
O: 0.1209 0.1787 0.5679  1 P 1.51
O: 0.9916 0.2397 0.8827  1 P 1.56
O: 0.6928 0.4458 0.6523  2 P 1.60-1.62
O: 0.8791 0.8213 0.4321  1 P 1.51
O: 0.8068 0.4333 0.2049  1 P 1.52
O: 0.6828 0.0985 0.7087  1 P 1.54
O: 0.5859 0.1962 0.3473  1 P 1.51
O: 0.6174 0.6496 0.9171  1 P 1.55
O: 0.4141 0.8038 0.6527  1 P 1.51
O: 0.3172 0.9015 0.2913  1 P 1.54
O: 0.1932 0.5667 0.7951  1 P 1.52
O: 0.3072 0.5542 0.3477  2 P 1.60-1.62
Sr: 0.5000 0.0000 0.0000  6 O 2.50-2.77
Fe: 0.0000 0.5000 0.0000  6 O 1.98-2.11
Fe: 0.5000 0.0000 0.5000  6 O 1.97-2.14

[2]
VASP calculation (PBE with a Hubbard U) on LiCr2O4 after structural relaxation.

Summary:
Its crystal system is orthorhombic. The calculation puts the energy above the most stable polymorph in this dataset at 0.219 eV per atom. The value obtained for the calculated formation energy is -14.3 eV/f.u. Its space group is Amm2, No. 38. The MP2020-corrected energy comes out at -7.90 eV/atom.

a b c (Å): 2.9259 5.0988 5.0988
angles (deg): 102.23 90.00 90.00
Closest atoms and distances in Å follow each position.
Atoms (fractional coordinates):
O: 0.0000 0.3159 0.3137  3 Cr 1.98-2.02, 1 Li 2.02
O: 0.5000 0.1437 0.8563  2 Li 1.89, 2 Cr 1.95
O: 0.0000 0.6863 0.6841  3 Cr 1.98-2.02, 1 Li 2.02
O: 0.5000 0.8079 0.1921  3 Cr 1.83-2.00
Cr: 0.5000 0.5768 0.4232  5 O 1.83-1.98
Cr: 0.0000 0.9805 0.0195  6 O 1.95-2.02
Li: 0.0000 0.2945 0.7055  4 O 1.89-2.02

[3]
VASP calculation (PBE with a Hubbard U) on Li7Mn4P8O28 after structural relaxation.

Summary:
Its crystal system is triclinic. The calculation puts the energy above the most stable polymorph in this dataset at 0.001 eV per atom. The value obtained for the calculated formation energy is -123.8 eV/f.u. Its space group is P1, No. 1. The MP2020-corrected energy comes out at -7.57 eV/atom.

a b c (Å): 9.9164 9.9282 11.3507
angles (deg): 102.78 90.11 90.67
Closest atoms and distances in Å follow each position.
Atoms (fractional coordinates):
O: 0.1407 0.3842 0.1439  1 P 1.54
O: 0.4663 0.1301 0.2265  1 P 1.58
O: 0.1748 0.1646 0.3128  1 P 1.55
O: 0.6320 0.7761 0.0050  1 P 1.57
O: 0.4271 0.3815 0.6981  2 P 1.61-1.62
O: 0.3280 0.6618 0.3133  1 P 1.55
O: 0.8257 0.8120 0.1560  1 P 1.54
O: 0.9350 0.9354 0.8874  1 P 1.52
O: 0.6835 0.3442 0.7000  1 P 1.55
O: 0.4097 0.9688 0.3670  1 P 1.51
O: 0.7756 0.5173 0.0762  1 P 1.52
O: 0.1626 0.0230 0.5519  1 P 1.52
O: 0.0866 0.4760 0.3692  1 P 1.52
O: 0.9122 0.5214 0.6314  1 P 1.52
O: 0.6702 0.3228 0.1655  1 P 1.51
O: 0.3407 0.5282 0.5581  1 P 1.54
O: 0.3535 0.2286 0.9981  1 P 1.55
O: 0.5879 0.5869 0.7295  1 P 1.55
O: 0.5580 0.4412 0.8903  1 P 1.51
O: 0.0799 0.8883 0.7040  2 P 1.62-1.63
O: 0.6538 0.4685 0.4390  1 P 1.55
O: 0.5312 0.8805 0.7909  1 P 1.58
O: 0.6019 0.9082 0.2254  2 P 1.60-1.65
O: 0.8628 0.6159 0.8582  1 P 1.53
O: 0.8587 0.2759 0.0021  1 P 1.58
O: 0.9362 0.2241 0.5182  1 P 1.54
O: 0.9020 0.4021 0.2215  2 P 1.61-1.64
O: 0.7311 0.0171 0.0766  1 P 1.49
O: 0.5756 0.0122 0.6241  1 P 1.50
O: 0.7147 0.1946 0.4114  1 P 1.52
O: 0.1337 0.7224 0.9964  1 P 1.56
O: 0.2231 0.4802 0.9239  1 P 1.51
O: 0.4299 0.2816 0.4703  1 P 1.52
O: 0.0635 0.7745 0.4820  1 P 1.54
O: 0.0660 0.0641 0.1110  1 P 1.52
O: 0.0886 0.9139 0.2681  1 P 1.54
O: 0.6490 0.1122 0.8445  1 P 1.55
O: 0.4021 0.1003 0.7804  2 P 1.61-1.63
O: 0.8279 0.8360 0.6848  1 P 1.55
O: 0.2123 0.3138 0.5817  1 P 1.54
O: 0.1695 0.1790 0.8412  1 P 1.54
O: 0.9233 0.1126 0.2950  2 P 1.61-1.63
O: 0.4338 0.5639 0.1119  1 P 1.51
O: 0.9131 0.0873 0.7316  1 P 1.55
O: 0.9589 0.3756 0.7886  1 P 1.58
O: 0.4150 0.4135 0.2706  1 P 1.55
O: 0.7897 0.6812 0.4196  1 P 1.53
O: 0.2895 0.8123 0.5829  1 P 1.54
O: 0.1004 0.5911 0.7759  2 P 1.62-1.64
O: 0.3645 0.8935 0.1400  1 P 1.54
O: 0.5634 0.7179 0.5181  1 P 1.53
O: 0.0371 0.6209 0.2127  1 P 1.56
O: 0.5804 0.6154 0.2944  2 P 1.61-1.63
O: 0.2747 0.9806 0.9222  1 P 1.51
O: 0.3283 0.6835 0.8466  1 P 1.53
O: 0.8358 0.9779 0.4443  1 P 1.53
P: 0.3527 0.3777 0.5699  4 O 1.52-1.62
P: 0.5691 0.4422 0.7579  4 O 1.51-1.61
P: 0.2036 0.6183 0.8916  4 O 1.51-1.64
P: 0.9324 0.9412 0.7552  4 O 1.52-1.62
P: 0.9501 0.5247 0.7616  4 O 1.52-1.62
P: 0.5459 0.0252 0.7554  4 O 1.50-1.61
P: 0.8482 0.1247 0.4244  4 O 1.52-1.63
P: 0.7915 0.3797 0.1114  4 O 1.51-1.64
P: 0.4554 0.9756 0.2416  4 O 1.51-1.60
P: 0.2943 0.1197 0.8909  4 O 1.51-1.63
P: 0.4320 0.5588 0.2440  4 O 1.51-1.63
P: 0.1507 0.8770 0.5731  4 O 1.52-1.63
P: 0.0490 0.4735 0.2387  4 O 1.52-1.61
P: 0.7054 0.8817 0.1093  4 O 1.49-1.65
P: 0.6481 0.6196 0.4244  4 O 1.53-1.61
P: 0.0692 0.0594 0.2436  4 O 1.52-1.61
Li: 0.6075 0.5851 0.0305  4 O 1.92-1.99
Li: 0.4130 0.8527 0.9566  3 O 1.98-2.09
Li: 0.9204 0.6706 0.5482  3 O 1.93-1.99
Li: 0.2216 0.6119 0.4484  3 O 1.96-2.03
Li: 0.7198 0.8962 0.5524  3 O 1.91-2.04
Li: 0.3920 0.4139 0.9728  4 O 1.93-1.96
Li: 0.2893 0.1139 0.4487  4 O 1.95-2.13
Li: 0.1063 0.9148 0.9717  4 O 1.92-2.01
Li: 0.4285 0.8379 0.4627  3 O 1.88-1.99
Li: 0.0949 0.3422 0.9585  3 O 1.96-2.10
Li: 0.7750 0.3776 0.5511  5 O 2.01-2.21
Li: 0.8901 0.0871 0.0279  4 O 1.85-2.02
Li: 0.9077 0.6533 0.0436  3 O 1.96-2.10
Li: 0.0800 0.3274 0.4521  3 O 1.92-2.00
Mn: 0.0804 0.2017 0.6730  6 O 2.12-2.31
Mn: 0.2881 0.2415 0.1748  5 O 2.09-2.24
Mn: 0.9196 0.7977 0.3243  6 O 2.16-2.34
Mn: 0.7837 0.2555 0.8241  5 O 1.99-2.19
Mn: 0.7146 0.7595 0.8268  5 O 2.14-2.28
Mn: 0.5758 0.2930 0.3273  6 O 2.05-2.20
Mn: 0.2164 0.7467 0.1778  5 O 2.17-2.25
Mn: 0.4223 0.7037 0.6775  6 O 2.11-2.32

[4]
VASP calculation (PBE with a Hubbard U) on Li2VF5 after structural relaxation.

Summary:
Its crystal system is monoclinic. The calculation puts the energy above the most stable polymorph in this dataset at 0.034 eV per atom. The value obtained for the calculated formation energy is -25.4 eV/f.u. Its space group is P2_1/c, No. 14. The MP2020-corrected energy comes out at -5.98 eV/atom.

a b c (Å): 5.1740 7.1450 10.0550
angles (deg): 77.17 90.00 90.00
Closest atoms and distances in Å follow each position.
Atoms (fractional coordinates):
V: 0.7678 0.1643 0.7006  5 F 1.89-2.10
V: 0.2678 0.8357 0.7994  5 F 1.89-2.10
V: 0.2322 0.8357 0.2994  5 F 1.89-2.10
V: 0.7322 0.1643 0.2006  5 F 1.89-2.10
Li: 0.7488 0.4806 0.4318  5 F 1.87-2.03
Li: 0.7591 0.8656 0.9965  4 F 1.96-2.12
Li: 0.7409 0.8656 0.4965  4 F 1.96-2.12
Li: 0.2488 0.5194 0.0682  5 F 1.87-2.03
Li: 0.2591 0.1344 0.5035  4 F 1.96-2.12
Li: 0.7512 0.4806 0.9318  5 F 1.87-2.03
Li: 0.2409 0.1344 0.0035  4 F 1.96-2.12
Li: 0.2512 0.5194 0.5682  5 F 1.87-2.03
F: 0.2777 0.6131 0.7274  1 Li 1.87, 1 V 1.89
F: 0.0134 0.9503 0.6427  2 V 2.08-2.16, 2 Li 2.12-2.22
F: 0.4701 0.0532 0.3579  2 Li 2.01-2.21, 2 V 2.10-2.16
F: 0.4884 0.6915 0.4348  3 Li 2.00-2.03, 1 V 2.01
F: 0.9701 0.9468 0.1421  2 Li 2.01-2.21, 2 V 2.10-2.16
F: 0.7223 0.3869 0.2726  1 Li 1.87, 1 V 1.89
F: 0.5134 0.0497 0.8573  2 V 2.08-2.16, 2 Li 2.12-2.22
F: 0.9938 0.6905 0.4450  3 Li 1.96-2.03, 1 V 2.02
F: 0.2223 0.6131 0.2274  1 Li 1.87, 1 V 1.89
F: 0.0116 0.6915 0.9348  3 Li 2.00-2.03, 1 V 2.01
F: 0.0062 0.3095 0.5550  3 Li 1.96-2.03, 1 V 2.02
F: 0.5299 0.9468 0.6421  2 Li 2.01-2.21, 2 V 2.10-2.16
F: 0.0299 0.0532 0.8579  2 Li 2.01-2.21, 2 V 2.10-2.16
F: 0.5116 0.3085 0.5652  3 Li 2.00-2.03, 1 V 2.01
F: 0.4938 0.3095 0.0550  3 Li 1.96-2.03, 1 V 2.02
F: 0.4866 0.9503 0.1427  2 V 2.08-2.16, 2 Li 2.12-2.22
F: 0.7777 0.3869 0.7726  1 Li 1.87, 1 V 1.89
F: 0.9866 0.0497 0.3573  2 V 2.08-2.16, 2 Li 2.12-2.22
F: 0.9884 0.3085 0.0652  3 Li 2.00-2.03, 1 V 2.01
F: 0.5062 0.6905 0.9450  3 Li 1.96-2.03, 1 V 2.02

[5]
VASP calculation (PBE with a Hubbard U) on GdCrGeO5 after structural relaxation.

Summary:
Its crystal system is orthorhombic. The value obtained for the calculated formation energy is -22.5 eV/f.u. Its space group is Pbam, No. 55. The MP2020-corrected energy comes out at -9.45 eV/atom.

a b c (Å): 5.8447 7.5113 8.5400
angles (deg): 90.00 90.00 90.00
Closest atoms and distances in Å follow each position.
Atoms (fractional coordinates):
O: 0.7906 0.5000 0.5000  2 Ge 1.94
O: 0.7906 0.0000 0.0000  2 Ge 1.94
O: 0.2094 0.5000 0.5000  2 Ge 1.94
O: 0.0000 0.6585 0.9201  1 Ge 1.78
O: 0.2470 0.8905 0.7173  1 Ge 1.87, 1 Cr 2.03
O: 0.7530 0.1095 0.2827  1 Ge 1.87, 1 Cr 2.03
O: 0.2094 0.0000 0.0000  2 Ge 1.94
O: 0.7530 0.3905 0.7827  1 Ge 1.87, 1 Cr 2.03
O: 0.2470 0.3905 0.7827  1 Ge 1.87, 1 Cr 2.03
O: 0.0000 0.8415 0.4201  1 Ge 1.78
O: 0.0000 0.3415 0.0799  1 Ge 1.78
O: 0.5000 0.3335 0.0561  2 Cr 1.99
O: 0.5000 0.6665 0.9439  2 Cr 1.99
O: 0.5000 0.8335 0.4439  2 Cr 1.99
O: 0.0000 0.1585 0.5799  1 Ge 1.78
O: 0.7530 0.8905 0.7173  1 Ge 1.87, 1 Cr 2.03
O: 0.5000 0.1665 0.5561  2 Cr 1.99
O: 0.7530 0.6095 0.2173  1 Ge 1.87, 1 Cr 2.03
O: 0.2470 0.1095 0.2827  1 Ge 1.87, 1 Cr 2.03
O: 0.2470 0.6095 0.2173  1 Ge 1.87, 1 Cr 2.03
Cr: 0.7517 0.5000 0.0000  6 O 1.99-2.03
Cr: 0.2483 0.0000 0.5000  6 O 1.99-2.03
Cr: 0.7517 0.0000 0.5000  6 O 1.99-2.03
Cr: 0.2483 0.5000 0.0000  6 O 1.99-2.03
Gd: 0.5000 0.1428 0.8266  8 O 2.32-2.58
Gd: 0.5000 0.6428 0.6734  8 O 2.32-2.58
Gd: 0.5000 0.8572 0.1734  8 O 2.32-2.58
Gd: 0.5000 0.3572 0.3266  8 O 2.32-2.58
Ge: 0.0000 0.6166 0.3561  5 O 1.78-1.94
Ge: 0.0000 0.8834 0.8561  5 O 1.78-1.94
Ge: 0.0000 0.3834 0.6439  5 O 1.78-1.94
Ge: 0.0000 0.1166 0.1439  5 O 1.78-1.94

[6]
VASP calculation (PBE with a Hubbard U) on RbLiVPO5 after structural relaxation.

Summary:
Its crystal system is orthorhombic. The value obtained for the calculated formation energy is -22.6 eV/f.u. Its space group is P2_12_12_1, No. 19. The MP2020-corrected energy comes out at -7.19 eV/atom.

a b c (Å): 7.5733 8.4047 8.5982
angles (deg): 90.00 90.00 90.00
Closest atoms and distances in Å follow each position.
Atoms (fractional coordinates):
O: 0.7010 0.1056 0.9473  1 P 1.55
O: 0.2249 0.6809 0.2651  1 P 1.57
O: 0.0644 0.3127 0.4898  1 V 1.83, 1 Li 1.94
O: 0.4155 0.8573 0.4393  1 P 1.54
O: 0.0845 0.1427 0.9393  1 P 1.54
O: 0.2751 0.3191 0.7651  1 P 1.57
O: 0.4356 0.6873 0.9898  1 V 1.83, 1 Li 1.94
O: 0.5845 0.3573 0.0607  1 P 1.54
O: 0.2990 0.6056 0.5527  1 P 1.55
O: 0.7249 0.8191 0.7349  1 P 1.57
O: 0.9356 0.8127 0.0102  1 V 1.83, 1 Li 1.94
O: 0.4810 0.0819 0.1675  1 P 1.58
O: 0.0190 0.9181 0.6675  1 P 1.58
O: 0.2010 0.3944 0.0527  1 P 1.55
O: 0.9810 0.4181 0.8325  1 P 1.58
O: 0.9155 0.6427 0.5607  1 P 1.54
O: 0.5190 0.5819 0.3325  1 P 1.58
O: 0.7751 0.1809 0.2349  1 P 1.57
O: 0.7990 0.8944 0.4473  1 P 1.55
O: 0.5644 0.1873 0.5102  1 V 1.83, 1 Li 1.94
Rb: 0.3847 0.9552 0.7666  7 O 2.83-3.17
Rb: 0.8847 0.5448 0.2334  7 O 2.83-3.17
Rb: 0.6153 0.4552 0.7334  7 O 2.83-3.17
Rb: 0.1153 0.0448 0.2666  7 O 2.83-3.17
Li: 0.3231 0.2546 0.5481  3 O 1.94-2.08
Li: 0.6769 0.7546 0.9519  3 O 1.94-2.08
Li: 0.1769 0.7454 0.0481  3 O 1.94-2.08
Li: 0.8231 0.2454 0.4519  3 O 1.94-2.08
V: 0.0951 0.4754 0.6284  4 O 1.83-2.04
V: 0.9049 0.9754 0.8716  4 O 1.83-2.04
V: 0.4049 0.5246 0.1284  4 O 1.83-2.04
V: 0.5951 0.0246 0.3716  4 O 1.83-2.04
P: 0.6367 0.1853 0.0995  4 O 1.54-1.58
P: 0.8633 0.8147 0.5995  4 O 1.54-1.58
P: 0.3633 0.6853 0.4005  4 O 1.54-1.58
P: 0.1367 0.3147 0.9005  4 O 1.54-1.58

Electronic total energy for every record listed, in sequence, given in eV per formula unit: -150.66; -48.54; -329.74; -43.85; -70.18; -59.60.